## Hf2Ni7 (GGA-PBE)

Data for a geometry-optimized Hf2Ni7 structure.

Calculated values
Theoretical density in g/cm3: 11.166
E_form in eV per atom: -0.4639

The structure in POSCAR format:
```
Hf2Ni7
1.0
4.0878 2.3259 0.0000
-4.0878 2.3259 0.0000
0.0000 1.7363 6.0050
Ni Hf
7 2
Direct
0.4628 0.7927 0.1552
0.5000 0.5000 0.5000
0.2073 0.5372 0.8448
0.5000 0.0000 0.5000
0.7927 0.4628 0.1552
0.0000 0.5000 0.5000
0.5372 0.2073 0.8448
0.1059 0.1059 0.2293
0.8941 0.8941 0.7707
```

## Sm2CrFe16 (GGA-PBE)

Data for a geometry-optimized Sm2CrFe16 structure.

Calculated values
Theoretical density in g/cm3: 7.933
E_form in eV per atom: 0.0256

The structure in POSCAR format:
```
Sm2CrFe16
1.0
-4.7787 0.6118 -4.2725
-2.9400 -5.5937 1.2376
-4.4509 2.2821 4.0554
Fe Sm Cr
16 2 1
Direct
0.9996 0.7041 0.2944
0.8445 0.3407 0.3407
0.6590 0.6590 0.1560
0.0011 0.0011 0.4984
0.1560 0.6590 0.6590
0.9073 0.9073 0.9073
0.2944 0.7041 0.9996
0.0011 0.4984 0.0011
0.9996 0.2944 0.7041
0.3407 0.8445 0.3407
0.3407 0.3407 0.8445
0.7041 0.9996 0.2944
0.2944 0.9996 0.7041
0.7041 0.2944 0.9996
0.6590 0.1560 0.6590
0.4984 0.0011 0.0011
0.6583 0.6583 0.6583
0.3459 0.3459 0.3459
0.0916 0.0916 0.0916
```

## Bi (GGA-PBE)

Data for a geometry-optimized Bi structure.

Calculated values
Theoretical density in g/cm3: 9.758
Excess energy over the best structure of this formula in the dataset in eV per atom: 0.099
E_form in eV per atom: 0.0990

The structure in POSCAR format:
```
Bi
1.0
-0.2942 -2.7268 1.5988
2.6770 0.8904 2.0111
-4.0611 2.8642 4.1378
Bi
2
Direct
0.1028 0.0000 0.2500
0.8972 0.0000 0.7500
```

## K3CuP2S7 (GGA-PBE)

Data for a geometry-optimized K3CuP2S7 structure.

Calculated values
Theoretical density in g/cm3: 2.252
E_form in eV per atom: -1.0201

The structure in POSCAR format:
```
K3CuP2S7
1.0
6.7631 0.0000 0.0000
0.0000 13.4119 0.0000
0.0000 2.2932 15.1924
P K S Cu
8 12 28 4
Direct
0.0004 0.6140 0.1626
0.9996 0.3860 0.8374
0.4996 0.1140 0.1626
0.7401 0.3316 0.6465
0.5004 0.8860 0.8374
0.7599 0.8316 0.6465
0.2401 0.1684 0.3535
0.2599 0.6684 0.3535
0.2395 0.1833 0.6991
0.7605 0.8167 0.3009
0.6511 0.1572 0.9282
0.7793 0.0965 0.5275
0.3489 0.8428 0.0718
0.2207 0.9035 0.4725
0.1511 0.3428 0.0718
0.8489 0.6572 0.9282
0.2793 0.4035 0.4725
0.2605 0.6833 0.6991
0.7207 0.5965 0.5275
0.7395 0.3167 0.3009
0.9804 0.0934 0.3353
0.6938 0.8528 0.5158
0.4822 0.0868 0.3061
0.2641 0.5830 0.1056
0.9822 0.4132 0.6939
0.5196 0.5934 0.3353
0.8062 0.3528 0.5158
0.5178 0.9132 0.6939
0.2022 0.4945 0.8586
0.2636 0.8124 0.2946
0.6006 0.2527 0.1175
0.2978 0.9945 0.8586
0.4804 0.4066 0.6647
0.1938 0.6472 0.4842
0.7359 0.4170 0.8944
0.7978 0.5055 0.1414
0.7022 0.0055 0.1414
0.7636 0.6876 0.7054
0.7364 0.1876 0.7054
0.3062 0.1472 0.4842
0.2359 0.0830 0.1056
0.3994 0.7473 0.8825
0.7641 0.9170 0.8944
0.2364 0.3124 0.2946
0.0178 0.5868 0.3061
0.1006 0.2473 0.8825
0.8994 0.7527 0.1175
0.0196 0.9066 0.6647
0.5198 0.5662 0.1964
0.4802 0.4338 0.8036
0.9802 0.0662 0.1964
0.0198 0.9338 0.8036
```

## MgHg2I6O6 (GGA-PBE)

Data for a geometry-optimized MgHg2I6O6 structure.

Calculated values
Theoretical density in g/cm3: 5.046
E_form in eV per atom: -0.4534

The structure in POSCAR format:
```
MgHg2I6O6
1.0
-2.8693 -8.2095 1.6307
-2.8249 -0.7092 -8.3549
5.7074 -10.0483 -7.5219
O I Mg Hg
12 12 2 4
Direct
0.0809 0.8779 0.6046
0.1221 0.9191 0.8954
0.3423 0.0687 0.5818
0.8779 0.0809 0.1046
0.9191 0.1221 0.3954
0.6577 0.9313 0.4182
0.9313 0.6577 0.9182
0.0784 0.9216 0.2500
0.3095 0.6905 0.7500
0.0687 0.3423 0.0818
0.6905 0.3095 0.2500
0.9216 0.0784 0.7500
0.6736 0.4786 0.8611
0.7179 0.9496 0.5268
0.9496 0.7179 0.0268
0.2821 0.0504 0.4732
0.0504 0.2821 0.9732
0.3264 0.5214 0.1389
0.6590 0.9339 0.8558
0.5214 0.3264 0.6389
0.0661 0.3410 0.6442
0.4786 0.6736 0.3611
0.9339 0.6590 0.3558
0.3410 0.0661 0.1442
0.8532 0.1468 0.2500
0.1468 0.8532 0.7500
0.5833 0.7806 0.1118
0.7806 0.5833 0.6118
0.2194 0.4167 0.3882
0.4167 0.2194 0.8882
```

## RbInBP2HO9 (GGA-PBE)

Data for a geometry-optimized RbInBP2HO9 structure.

Calculated values
Theoretical density in g/cm3: 3.582
E_form in eV per atom: -2.5207

The structure in POSCAR format:
```
RbInBP2HO9
1.0
-0.6227 -5.1973 -1.3932
1.4469 -2.7828 7.8502
-8.3924 -0.9123 1.6454
O H In Rb P B
18 2 2 2 4 2
Direct
0.9218 0.5718 0.3473
0.5624 0.8626 0.2868
0.2490 0.9023 0.8517
0.9549 0.3415 0.1697
0.7344 0.3089 0.4486
0.4376 0.1374 0.7132
0.8719 0.8274 0.0339
0.2746 0.6905 0.0447
0.0782 0.4282 0.6527
0.0260 0.9030 0.2855
0.7510 0.0977 0.1483
0.7254 0.3095 0.9553
0.1281 0.1726 0.9661
0.0451 0.6585 0.8303
0.9740 0.0970 0.7145
0.4703 0.5181 0.7492
0.5297 0.4819 0.2508
0.2656 0.6911 0.5514
0.5878 0.3706 0.0168
0.4122 0.6294 0.9832
0.7251 0.3110 0.6999
0.2749 0.6890 0.3001
0.2782 0.1696 0.3826
0.7218 0.8304 0.6174
0.8072 0.9188 0.1910
0.1928 0.0812 0.8090
0.2181 0.5687 0.6921
0.7819 0.4313 0.3079
0.8911 0.2286 0.0588
0.1089 0.7714 0.9412
```

## BaNaGaF6 (GGA-PBE)

Data for a geometry-optimized BaNaGaF6 structure.

Calculated values
Theoretical density in g/cm3: 4.177
E_form in eV per atom: -3.4229

The structure in POSCAR format:
```
BaNaGaF6
1.0
-5.5221 0.8730 0.5555
-0.3899 -7.0369 7.1832
3.4847 13.5044 13.4184
F Ba Na Ga
48 8 8 8
Direct
0.9961 0.6647 0.4653
0.0231 0.0152 0.7908
0.6902 0.2491 0.3203
0.4925 0.2015 0.7120
0.7004 0.9626 0.6912
0.9769 0.5152 0.2092
0.4961 0.1647 0.0347
0.6636 0.6192 0.5710
0.4656 0.6929 0.8076
0.7996 0.9626 0.1912
0.4722 0.1738 0.5585
0.4769 0.0152 0.2908
0.5241 0.0408 0.8217
0.0241 0.5408 0.6783
0.7947 0.9047 0.4426
0.3364 0.1192 0.4290
0.1902 0.7491 0.1797
0.5278 0.6738 0.4415
0.3098 0.7491 0.6797
0.0039 0.1647 0.5347
0.9536 0.3527 0.9627
0.2053 0.4047 0.5574
0.4506 0.3255 0.9242
0.5075 0.7015 0.2880
0.5494 0.8255 0.0758
0.8098 0.2491 0.8203
0.2996 0.4626 0.3088
0.0344 0.6929 0.3076
0.5344 0.1929 0.1924
0.5039 0.6647 0.9653
0.9759 0.0408 0.3217
0.9925 0.7015 0.7880
0.0494 0.3255 0.4242
0.1636 0.1192 0.9290
0.0075 0.2015 0.2120
0.9656 0.1929 0.6924
0.9506 0.8255 0.5758
0.0278 0.1738 0.0585
0.0464 0.8527 0.0373
0.8364 0.6192 0.0710
0.5464 0.3527 0.4627
0.5231 0.5152 0.7092
0.4536 0.8527 0.5373
0.7053 0.9047 0.9426
0.9722 0.6738 0.9415
0.2947 0.4047 0.0574
0.2004 0.4626 0.8088
0.4759 0.5408 0.1783
0.2589 0.0015 0.1370
0.7404 0.3669 0.6121
0.2411 0.0015 0.6370
0.2404 0.8669 0.8879
0.7589 0.5015 0.3630
0.2596 0.8669 0.3879
0.7411 0.5015 0.8630
0.7596 0.3669 0.1121
0.7569 0.1376 0.4357
0.2431 0.6376 0.5643
0.2569 0.6376 0.0643
0.7431 0.1376 0.9357
0.2373 0.2297 0.8128
0.7627 0.7297 0.1872
0.2627 0.2297 0.3128
0.7373 0.7297 0.6872
0.7481 0.1051 0.7560
0.2519 0.6051 0.2440
0.7519 0.1051 0.2560
0.2363 0.2620 0.9929
0.7363 0.7620 0.5071
0.2637 0.2620 0.4929
0.2481 0.6051 0.7440
0.7637 0.7620 0.0071
```

## Zr5Al3 (GGA-PBE)

Data for a geometry-optimized Zr5Al3 structure.

Calculated values
Theoretical density in g/cm3: 5.365
Excess energy over the best structure of this formula in the dataset in eV per atom: 0.000
E_form in eV per atom: -0.3742

The structure in POSCAR format:
```
Zr5Al3
1.0
1.3681 -3.0960 -7.5784
-1.0960 -2.2840 7.9039
-7.8777 2.2254 -1.3705
Zr Al
10 6
Direct
0.2500 0.7500 0.5000
0.2807 0.5788 0.8594
0.4212 0.2806 0.7019
0.7193 0.4212 0.1406
0.0788 0.7806 0.8594
0.7806 0.9212 0.7019
0.7500 0.2500 0.5000
0.5788 0.7193 0.2981
0.2193 0.0788 0.2981
0.9212 0.2193 0.1406
0.7500 0.7500 0.0000
0.3367 0.8367 0.1733
0.6633 0.1633 0.8267
0.8367 0.6633 0.5000
0.1633 0.3367 0.5000
0.2500 0.2500 0.0000
```

Which of these has the highest E_form? Bi

Which of these has the lowest E_form? BaNaGaF6